Material: NaS2O6
Method: DFT, PBE
State: relaxed

Cell lengths 4.966, 5.665, 11.461 Å; angles 60.90, 90.00, 90.00 degrees
Element x y z (fractional)
O1 0.269 0.311 0.551
O2 0.264 0.113 0.299
O3 0.236 0.113 0.799
O4 0.736 0.887 0.701
O5 0.773 0.386 0.349
O6 0.769 0.689 0.949
O7 0.727 0.386 0.849
O8 0.231 0.311 0.051
O9 0.273 0.614 0.151
O10 0.227 0.614 0.651
O11 0.731 0.689 0.449
O12 0.764 0.887 0.201
Na1 0.500 0.000 0.500
Na2 0.000 0.000 0.000
S1 0.306 0.344 0.165
S2 0.806 0.656 0.335
S3 0.694 0.656 0.835
S4 0.194 0.344 0.665

Calculated values
The value obtained for the formation energy is -1.65 eV per atom. Its total energy is -99.95 eV for the cell shown.

Material: Rb2Ge2O5
Method: DFT, PBE
State: relaxed

Cell lengths 7.043, 7.043, 15.260 Å; angles 89.76, 89.76, 77.53 degrees
Element x y z (fractional)
O1 0.156 0.844 0.750
O2 0.009 0.766 0.310
O3 0.010 0.684 0.905
O4 0.649 0.868 0.220
O5 0.287 0.508 0.425
O6 0.508 0.287 0.925
O7 0.844 0.156 0.250
O8 0.868 0.649 0.720
O9 0.132 0.351 0.280
O10 0.684 0.010 0.405
O11 0.398 0.602 0.250
O12 0.234 0.991 0.190
O13 0.316 0.990 0.595
O14 0.351 0.132 0.780
O15 0.766 0.009 0.810
O16 0.492 0.713 0.075
O17 0.602 0.398 0.750
O18 0.991 0.234 0.690
O19 0.990 0.316 0.095
O20 0.713 0.492 0.575
Rb1 0.279 0.069 0.417
Rb2 0.704 0.443 0.396
Rb3 0.069 0.279 0.917
Rb4 0.443 0.704 0.896
Rb5 0.296 0.557 0.604
Rb6 0.721 0.931 0.583
Rb7 0.557 0.296 0.104
Rb8 0.931 0.721 0.083
Ge1 0.205 0.562 0.321
Ge2 0.053 0.211 0.195
Ge3 0.795 0.438 0.679
Ge4 0.947 0.789 0.805
Ge5 0.789 0.947 0.305
Ge6 0.211 0.053 0.695
Ge7 0.438 0.795 0.179
Ge8 0.562 0.205 0.821

Calculated values
The value obtained for the formation energy is -2.10 eV per atom. Its total energy is -205.61 eV for the cell shown.

Material: CaMgAsO4F
Method: DFT, PBE
State: relaxed

Cell lengths 5.662, 5.662, 7.207 Å; angles 76.14, 76.14, 106.19 degrees
Element x y z (fractional)
O1 0.175 0.603 0.120
O2 0.831 0.403 0.879
O3 0.603 0.175 0.620
O4 0.886 0.765 0.423
O5 0.122 0.244 0.578
O6 0.244 0.122 0.078
O7 0.765 0.886 0.923
O8 0.403 0.831 0.379
Ca1 0.170 0.835 0.742
Ca2 0.835 0.170 0.242
F1 0.423 0.588 0.750
F2 0.588 0.423 0.250
Mg1 0.503 0.505 0.000
Mg2 0.505 0.503 0.500
As1 0.182 0.824 0.249
As2 0.824 0.182 0.749

Calculated values
The calculation puts the maximum piezoelectric response at 0.44 C/m2. The value obtained for the formation energy is -2.89 eV per atom. Its total energy is -99.76 eV for the cell shown.

Material: Zr4Sc5N10
Method: DFT, PBE
State: relaxed

Cell lengths 5.584, 5.584, 10.204 Å; angles 89.94, 89.94, 47.60 degrees
Element x y z (fractional)
Sc1 0.901 0.901 0.701
Sc2 0.801 0.801 0.404
Sc3 0.500 0.500 0.500
Sc4 0.099 0.099 0.299
Sc5 0.199 0.199 0.596
Zr1 0.406 0.406 0.196
Zr2 0.594 0.594 0.804
Zr3 0.301 0.301 0.903
Zr4 0.699 0.699 0.097
N1 0.500 0.500 0.000
N2 0.401 0.401 0.702
N3 0.106 0.106 0.788
N4 0.599 0.599 0.298
N5 0.786 0.786 0.896
N6 0.300 0.300 0.400
N7 0.894 0.894 0.212
N8 0.000 0.000 0.500
N9 0.700 0.700 0.600
N10 0.214 0.214 0.104

Calculated values
The value obtained for the formation energy is -1.91 eV per atom. Its total energy is -181.83 eV for the cell shown.

Material: Ti2VTe4
Method: DFT, PBE
State: relaxed

Cell lengths 7.397, 7.397, 6.990 Å; angles 62.50, 62.50, 30.42 degrees
Element x y z (fractional)
Te1 0.636 0.636 0.037
Te2 0.110 0.110 0.545
Te3 0.891 0.891 0.449
Te4 0.363 0.363 0.971
Ti1 0.002 0.002 0.997
Ti2 0.249 0.249 0.706
V1 0.749 0.749 0.295

Calculated values
The value obtained for the formation energy is -0.82 eV per atom. Its total energy is -41.51 eV for the cell shown. As for the energy above the lowest structure with this stoichiometry: 0.022 eV/atom.

Material: BaCu2GeSe4
Method: DFT, PBE
State: relaxed

Cell lengths 6.597, 6.597, 16.405 Å; angles 90.00, 90.00, 120.00 degrees
Element x y z (fractional)
Se1 0.230 0.336 0.831
Se2 0.106 0.770 0.497
Se3 0.468 0.508 0.384
Se4 0.532 0.041 0.949
Se5 0.492 0.959 0.718
Se6 0.508 0.468 0.616
Se7 0.959 0.492 0.282
Se8 0.041 0.532 0.051
Se9 0.894 0.664 0.836
Se10 0.770 0.106 0.503
Se11 0.336 0.230 0.169
Se12 0.664 0.894 0.164
Ge1 0.000 0.286 0.167
Ge2 0.714 0.714 0.500
Ge3 0.286 0.000 0.833
Cu1 0.644 0.567 0.244
Cu2 0.922 0.356 0.911
Cu3 0.433 0.078 0.578
Cu4 0.567 0.644 0.756
Cu5 0.356 0.922 0.089
Cu6 0.078 0.433 0.422
Ba1 0.449 0.000 0.333
Ba2 0.000 0.449 0.667
Ba3 0.551 0.551 0.000

Calculated values
The value obtained for the formation energy is -0.95 eV per atom. Its total energy is -103.36 eV for the cell shown.

Material: Na4TiAs2O9
Method: DFT, PBE
State: relaxed

Cell lengths 8.840, 8.840, 7.858 Å; angles 89.77, 89.77, 48.53 degrees
Element x y z (fractional)
Ti1 0.000 0.500 0.000
Ti2 0.500 0.000 0.000
Na1 0.000 0.500 0.500
Na2 0.255 0.745 0.000
Na3 0.374 0.374 0.721
Na4 0.893 0.893 0.238
Na5 0.626 0.626 0.279
Na6 0.500 0.000 0.500
Na7 0.745 0.255 0.000
Na8 0.107 0.107 0.762
As1 0.129 0.129 0.276
As2 0.612 0.612 0.760
As3 0.871 0.871 0.724
As4 0.388 0.388 0.240
O1 0.508 0.508 0.784
O2 0.344 0.344 0.437
O3 0.492 0.492 0.216
O4 0.758 0.758 0.070
O5 0.618 0.018 0.789
O6 0.159 0.554 0.129
O7 0.018 0.618 0.789
O8 0.656 0.656 0.563
O9 0.035 0.035 0.183
O10 0.965 0.965 0.817
O11 0.141 0.141 0.490
O12 0.554 0.159 0.129
O13 0.982 0.382 0.211
O14 0.242 0.242 0.930
O15 0.859 0.859 0.510
O16 0.382 0.982 0.211
O17 0.446 0.841 0.871
O18 0.841 0.446 0.871

Calculated values
The value obtained for the formation energy is -2.31 eV per atom. Its total energy is -195.56 eV for the cell shown.

Material: MgHgSb2O6
Method: DFT, PBE
State: relaxed

Cell lengths 5.452, 5.452, 7.162 Å; angles 90.00, 90.00, 120.00 degrees
Element x y z (fractional)
O1 0.652 0.652 0.360
O2 0.000 0.348 0.360
O3 0.348 0.000 0.360
O4 0.000 0.652 0.640
O5 0.348 0.348 0.640
O6 0.652 0.000 0.640
Mg1 0.000 0.000 0.500
Sb1 0.667 0.333 0.500
Sb2 0.333 0.667 0.500
Hg1 0.000 0.000 0.000

Calculated values
The value obtained for the formation energy is -1.84 eV per atom. Its total energy is -54.11 eV for the cell shown. As for the energy above the lowest structure with this stoichiometry: 0.000 eV/atom.

| no. | mass density (kg/m3) |
| --- | --- |
| 1 | 2159 |
| 2 | 3561 |
| 3 | 3629 |
| 4 | 5158 |
| 5 | 6417 |
| 6 | 5260 |
| 7 | 3130 |
| 8 | 5083 |